! MgTi5O10 | Materials Project | meta-GGA r2SCAN | relaxed; values from VASP
! final energy	-11.29	eV per atom
! space group	P2_1/m (11)
! magnetization	2.00	μB/f.u.
! volume	184.6	Å³/f.u.
&SYSTEM
  ibrav = 0, nat = 32, ntyp = 3
/
ATOMIC_SPECIES
O 16.00 O.upf
Ti 47.87 Ti.upf
Mg 24.30 Mg.upf
CELL_PARAMETERS angstrom
-8.530 -0.036 -5.200
-2.714 -0.327 4.454
-1.547 6.901 2.490
ATOMIC_POSITIONS angstrom
O -7.021 6.003 3.197
O -5.332 5.220 1.377
O -7.198 2.405 -2.604
O -9.712 1.308 -1.007
O -1.791 2.717 1.630
O -3.080 5.229 2.750
O -3.463 0.755 0.877
O -9.329 5.782 0.866
O -5.593 4.132 4.347
O -7.880 3.834 2.015
O -9.195 4.928 -1.992
O -3.597 1.609 3.735
O -3.928 6.016 5.082
O -5.948 1.599 2.302
O -7.460 1.317 0.366
O -11.000 3.820 0.113
O -8.863 0.521 -3.339
O -5.770 0.534 -1.454
O -6.843 4.938 -0.559
O -4.911 2.703 -0.272
Ti -10.474 5.454 -0.805
Ti -7.316 5.467 1.121
Ti -4.913 4.655 -0.385
Ti -5.475 1.070 0.622
Ti -1.701 4.668 1.573
Ti -4.916 5.651 3.225
Ti -2.317 1.083 2.547
Ti -7.876 0.886 -1.482
Ti -7.878 1.882 2.128
Ti -11.090 1.869 0.170
Mg -2.780 2.380 -0.255
Mg -10.012 4.157 1.998